Record 1
{
  "formula": "La4Ge3S12",
  "functional": "PBE-GGA",
  "state": "relaxed",
  "cell": [[-4.8928, 8.7500, -5.9220], [-5.5847, -10.1805, -0.8608], [3.4676, 2.7525, 10.7690]],
  "species": ["La", "La", "La", "La", "La", "La", "La", "La", "Ge", "Ge", "Ge", "Ge", "Ge", "Ge", "S", "S", "S", "S", "S", "S", "S", "S", "S", "S", "S", "S", "S", "S", "S", "S", "S", "S", "S", "S", "S", "S", "S", "S"],
  "frac_coords": [[0.5694, 0.0280, 0.7942], [0.0694, 0.2942, 0.5280], [0.2942, 0.5280, 0.0694], [0.5280, 0.0694, 0.2942], [0.9999, 0.9999, 0.9999], [0.0280, 0.7942, 0.5694], [0.7942, 0.5694, 0.0280], [0.4999, 0.4999, 0.4999], [0.8603, 0.0353, 0.6474], [0.3603, 0.1474, 0.5353], [0.6474, 0.8603, 0.0353], [0.1474, 0.5353, 0.3603], [0.0353, 0.6474, 0.8603], [0.5353, 0.3603, 0.1474], [0.3091, 0.1244, 0.3123], [0.1244, 0.3123, 0.3091], [0.6541, 0.9218, 0.3766], [0.3123, 0.3091, 0.1244], [0.9169, 0.2039, 0.8891], [0.6244, 0.8091, 0.8123], [0.1541, 0.8766, 0.4218], [0.1148, 0.1839, 0.7174], [0.8766, 0.4218, 0.1541], [0.2174, 0.6839, 0.6148], [0.8891, 0.9169, 0.2039], [0.1839, 0.7174, 0.1148], [0.8091, 0.8123, 0.6244], [0.3891, 0.7039, 0.4169], [0.4169, 0.3891, 0.7039], [0.2039, 0.8891, 0.9169], [0.7174, 0.1148, 0.1839], [0.8123, 0.6244, 0.8091], [0.7039, 0.4169, 0.3891], [0.6148, 0.2174, 0.6839], [0.9218, 0.3766, 0.6541], [0.4218, 0.1541, 0.8766], [0.6839, 0.6148, 0.2174], [0.3766, 0.6541, 0.9218]],
  "dft_energy_ev_per_atom": -5.71
}



Record 2
{
  "formula": "LaTiGe",
  "functional": "PBE-GGA",
  "state": "relaxed",
  "cell": [[-0.3776, -4.0114, 1.0882], [3.9298, 0.0113, 1.4052], [-2.6144, 2.2246, 7.2936]],
  "species": ["La", "La", "Ti", "Ti", "Ge", "Ge"],
  "frac_coords": [[0.0000, 0.5000, 0.3480], [0.5000, 0.0000, 0.6520], [0.5000, 0.5000, 0.0000], [0.0000, 0.0000, 0.0000], [0.5000, 0.0000, 0.2166], [0.0000, 0.5000, 0.7834]],
  "dft_energy_ev_per_atom": -6.43
}



Record 3
{
  "formula": "LaTiGe3",
  "functional": "PBE-GGA",
  "state": "relaxed",
  "cell": [[4.4337, 3.5553, 2.8195], [-5.0909, -1.9055, 3.2710], [2.8901, -4.9052, 1.6405]],
  "species": ["La", "La", "Ti", "Ti", "Ge", "Ge", "Ge", "Ge", "Ge", "Ge"],
  "frac_coords": [[0.6667, 0.3333, 0.2500], [0.3333, 0.6667, 0.7500], [0.0000, 0.0000, 0.5000], [0.0000, 0.0000, 0.0000], [0.1969, 0.8031, 0.2500], [0.8031, 0.6061, 0.7500], [0.1969, 0.3939, 0.2500], [0.8031, 0.1969, 0.7500], [0.3939, 0.1969, 0.7500], [0.6061, 0.8031, 0.2500]],
  "dft_energy_ev_per_atom": -6.06
}



Record 4
{
  "formula": "La2Zn6Ge3",
  "functional": "PBE-GGA",
  "state": "relaxed",
  "cell": [[-3.5542, -2.1514, 6.5327], [2.2102, -5.3457, -5.1454], [3.6892, -0.3087, 1.9055]],
  "species": ["La", "La", "Zn", "Zn", "Zn", "Zn", "Zn", "Zn", "Ge", "Ge", "Ge"],
  "frac_coords": [[0.6667, 0.3333, 0.0000], [0.3333, 0.6667, 0.0000], [0.7113, 0.0000, 0.5000], [0.0000, 0.7113, 0.5000], [0.1886, 0.0000, 0.0000], [0.8114, 0.8114, 0.0000], [0.2887, 0.2887, 0.5000], [0.0000, 0.1886, 0.0000], [0.3796, 0.0000, 0.5000], [0.6204, 0.6204, 0.5000], [0.0000, 0.3796, 0.5000]],
  "dft_energy_ev_per_atom": -3.30
}